Computed, not measured: a relaxed K3NdV2O8 crystal at the GGA+U level of DFT.

Computed properties:
Electronic total energy in eV per atom: -6.77
ΔE_f in meV/atom: -2705
Total moment in μB per formula unit: 0.00

a b c (Å): 6.0699 7.6859 10.0491
angles (deg): 89.02 90.00 90.00
Sites, in units of the cell vectors:
O: 0.2500 0.0390 0.4075
O: 0.2500 0.3293 0.5781
O: 0.9863 0.2586 0.8337
O: 0.7500 0.6707 0.4219
O: 0.4869 0.3405 0.3314
O: 0.7500 0.2060 0.0806
O: 0.0131 0.3405 0.3314
O: 0.2500 0.7940 0.9194
O: 0.5137 0.2586 0.8337
O: 0.9869 0.6595 0.6686
O: 0.0137 0.7414 0.1663
O: 0.2500 0.4724 0.0349
O: 0.4863 0.7414 0.1663
O: 0.7500 0.9610 0.5925
O: 0.7500 0.5276 0.9651
O: 0.5131 0.6595 0.6686
Nd: 0.2500 0.4937 0.7886
Nd: 0.7500 0.5063 0.2114
K: 0.2500 0.9984 0.6927
K: 0.7500 0.3076 0.5819
K: 0.7500 0.8590 0.9162
K: 0.7500 0.0016 0.3073
K: 0.2500 0.6924 0.4181
K: 0.2500 0.1410 0.0838
V: 0.2500 0.6900 0.0748
V: 0.2500 0.2610 0.4127
V: 0.7500 0.3100 0.9252
V: 0.7500 0.7390 0.5873

***

Computed, not measured: a relaxed MgV4O7F5 crystal at the GGA+U level of DFT.

Computed properties:
Electronic total energy in eV per atom: -6.71
ΔE_f in meV/atom: -2694
ΔE to the lowest computed polymorph in kJ/mol of atoms: 2.8
Total moment in μB per formula unit: 3.00

a b c (Å): 5.2250 5.4352 8.9243
angles (deg): 76.21 89.98 59.50
Sites, in units of the cell vectors:
V: 0.2579 0.5118 0.7562
V: 0.4511 0.0064 0.5252
V: 0.0410 0.9945 0.9967
V: 0.7379 0.5088 0.2485
O: 0.4480 0.7342 0.6678
O: 0.9506 0.2365 0.1404
O: 0.0833 0.2193 0.4280
O: 0.4619 0.2370 0.6238
O: 0.5109 0.7315 0.3683
O: 0.4092 0.7581 0.0725
O: 0.0465 0.7532 0.8598
F: 0.0750 0.2598 0.8237
F: 0.5930 0.2328 0.9234
F: 0.9436 0.7421 0.1898
F: 0.9426 0.7441 0.5539
F: 0.6004 0.2042 0.3343
Mg: 0.0598 0.8884 0.3518